Entry 1:
{
  "formula": "LiFe4B4O12",
  "functional": "PBE+U",
  "state": "relaxed",
  "lattice": [[5.222, 0.000, 0.000], [-2.532, 4.602, 0.000], [-0.057, -0.194, 20.135]],
  "species": ["B", "B", "B", "B", "B", "B", "B", "B", "Fe", "Fe", "Fe", "Fe", "Fe", "Fe", "Fe", "Fe", "Li", "Li", "O", "O", "O", "O", "O", "O", "O", "O", "O", "O", "O", "O", "O", "O", "O", "O", "O", "O", "O", "O", "O", "O", "O", "O"],
  "frac_coords": [[0.667, 0.005, 0.189], [0.345, 0.000, 0.314], [0.999, 0.343, 0.064], [0.658, 0.005, 0.689], [0.005, 0.665, 0.938], [0.003, 0.664, 0.439], [0.337, 0.996, 0.814], [0.998, 0.334, 0.564], [0.326, 0.998, 0.064], [0.325, 0.992, 0.565], [0.000, 0.674, 0.690], [0.676, 0.007, 0.939], [0.681, 0.007, 0.439], [0.005, 0.674, 0.189], [0.996, 0.327, 0.815], [0.008, 0.321, 0.312], [0.342, 0.349, 0.454], [0.672, 0.654, 0.322], [0.991, 0.407, 0.914], [0.293, 0.229, 0.816], [0.873, 0.270, 0.716], [0.251, 0.916, 0.463], [0.886, 0.275, 0.209], [0.732, 0.129, 0.037], [0.590, 0.978, 0.333], [0.699, 0.764, 0.195], [0.091, 0.748, 0.292], [0.703, 0.773, 0.686], [0.124, 0.730, 0.787], [0.350, 0.261, 0.319], [0.728, 0.111, 0.545], [0.271, 0.876, 0.965], [0.771, 0.709, 0.936], [0.740, 0.660, 0.431], [0.029, 0.421, 0.423], [0.231, 0.297, 0.066], [0.244, 0.306, 0.556], [0.398, 0.993, 0.666], [0.595, 0.010, 0.838], [0.020, 0.594, 0.588], [0.010, 0.601, 0.086], [0.403, 0.981, 0.165]],
  "total_magnetization_mub_per_fu": 19.000,
  "formation_energy_mev_per_atom": -2225.9,
  "e_above_lowest_polymorph_mev_per_atom": 7.9
}

Entry 2:
{
  "formula": "Li4Ni3Sn2Sb3O16",
  "functional": "PBE+U",
  "state": "relaxed",
  "lattice": [[-4.151, 1.162, 4.412], [-3.932, -4.426, 1.732], [13.001, -6.054, 13.684]],
  "species": ["Sb", "Sb", "Sb", "Sb", "Sb", "Sb", "O", "O", "O", "O", "O", "O", "O", "O", "O", "O", "O", "O", "O", "O", "O", "O", "O", "O", "O", "O", "O", "O", "O", "O", "O", "O", "O", "O", "O", "O", "O", "O", "Ni", "Ni", "Ni", "Ni", "Ni", "Ni", "Sn", "Sn", "Sn", "Sn", "Li", "Li", "Li", "Li", "Li", "Li", "Li", "Li"],
  "frac_coords": [[0.338, 0.832, 0.108], [0.338, 0.832, 0.608], [0.172, 0.172, 0.357], [0.832, 0.338, 0.608], [0.172, 0.172, 0.857], [0.832, 0.338, 0.108], [0.513, 0.960, 0.170], [0.663, 0.663, 0.053], [0.841, 0.841, 0.799], [0.850, 0.325, 0.297], [0.473, 0.033, 0.421], [0.473, 0.033, 0.921], [0.512, 0.960, 0.670], [0.007, 0.007, 0.402], [0.325, 0.850, 0.297], [0.033, 0.473, 0.421], [0.841, 0.841, 0.299], [0.002, 0.002, 0.658], [0.486, 0.486, 0.420], [0.960, 0.513, 0.170], [0.326, 0.326, 0.303], [0.681, 0.167, 0.050], [0.167, 0.681, 0.050], [0.033, 0.473, 0.921], [0.163, 0.163, 0.552], [0.325, 0.850, 0.797], [0.850, 0.325, 0.797], [0.960, 0.513, 0.670], [0.515, 0.515, 0.669], [0.007, 0.007, 0.902], [0.163, 0.163, 0.051], [0.326, 0.326, 0.803], [0.002, 0.002, 0.158], [0.515, 0.515, 0.169], [0.486, 0.486, 0.920], [0.663, 0.663, 0.553], [0.167, 0.681, 0.550], [0.681, 0.167, 0.550], [0.173, 0.662, 0.356], [0.662, 0.173, 0.856], [0.831, 0.831, 0.608], [0.173, 0.662, 0.856], [0.662, 0.173, 0.356], [0.831, 0.831, 0.108], [0.677, 0.677, 0.252], [0.677, 0.677, 0.752], [0.346, 0.346, 0.488], [0.346, 0.346, 0.988], [0.991, 0.991, 0.751], [0.325, 0.326, 0.205], [0.325, 0.325, 0.705], [0.986, 0.986, 0.992], [0.986, 0.986, 0.492], [0.663, 0.663, 0.942], [0.991, 0.991, 0.251], [0.663, 0.663, 0.442]],
  "total_magnetization_mub_per_fu": 4.019,
  "formation_energy_mev_per_atom": -1895.2
}

Entry 3:
{
  "formula": "Li2VCrP2O8F2",
  "functional": "PBE+U",
  "state": "relaxed",
  "lattice": [[5.222, 0.000, 0.000], [-2.340, 6.960, 0.000], [-0.681, -1.299, 14.911]],
  "species": ["O", "O", "O", "O", "O", "O", "O", "O", "O", "O", "O", "O", "O", "O", "O", "O", "O", "O", "O", "O", "O", "O", "O", "O", "F", "F", "F", "F", "F", "F", "P", "P", "P", "P", "P", "P", "Li", "Li", "Li", "Li", "Li", "Li", "Cr", "Cr", "Cr", "V", "V", "V"],
  "frac_coords": [[0.028, 0.375, 0.720], [0.509, 0.154, 0.762], [0.640, 0.291, 0.947], [0.119, 0.835, 0.751], [0.452, 0.167, 0.084], [0.929, 0.168, 0.055], [0.842, 0.487, 0.096], [0.176, 0.821, 0.429], [0.740, 0.500, 0.612], [0.071, 0.832, 0.945], [0.694, 0.044, 0.387], [0.491, 0.846, 0.238], [0.786, 0.503, 0.417], [0.972, 0.625, 0.280], [0.260, 0.500, 0.388], [0.548, 0.833, 0.916], [0.306, 0.956, 0.613], [0.214, 0.497, 0.583], [0.158, 0.513, 0.904], [0.881, 0.165, 0.249], [0.360, 0.709, 0.053], [0.404, 0.165, 0.278], [0.824, 0.179, 0.571], [0.596, 0.835, 0.722], [0.320, 0.450, 0.190], [0.013, 0.884, 0.143], [0.348, 0.208, 0.476], [0.987, 0.116, 0.857], [0.680, 0.550, 0.810], [0.652, 0.792, 0.524], [0.609, 0.049, 0.286], [0.277, 0.716, 0.952], [0.058, 0.619, 0.380], [0.942, 0.381, 0.620], [0.391, 0.951, 0.714], [0.723, 0.284, 0.048], [0.769, 0.850, 0.038], [0.436, 0.517, 0.705], [0.102, 0.182, 0.372], [0.231, 0.150, 0.962], [0.564, 0.483, 0.295], [0.898, 0.818, 0.628], [0.166, 0.166, 0.167], [0.834, 0.834, 0.833], [0.500, 0.000, 0.500], [0.500, 0.500, 0.500], [0.833, 0.333, 0.833], [0.167, 0.667, 0.167]],
  "total_magnetization_mub_per_fu": 5.000,
  "formation_energy_mev_per_atom": -2798.4,
  "e_above_lowest_polymorph_mev_per_atom": 0.0
}

Entry 4:
{
  "formula": "K3Na5V2Mo6O24",
  "functional": "PBE+U",
  "state": "relaxed",
  "lattice": [[7.855, 0.000, 0.000], [0.000, 7.886, 0.009], [0.000, 0.009, 7.890]],
  "species": ["O", "O", "O", "O", "O", "O", "O", "O", "O", "O", "O", "O", "O", "O", "O", "O", "O", "O", "O", "O", "O", "O", "O", "O", "Mo", "Mo", "Mo", "Mo", "Mo", "Mo", "K", "K", "K", "V", "V", "Na", "Na", "Na", "Na", "Na"],
  "frac_coords": [[0.250, 0.497, 0.505], [0.750, 0.499, 0.994], [0.001, 0.499, 0.750], [0.499, 0.753, 0.506], [0.001, 0.753, 0.506], [0.250, 0.002, 0.997], [0.499, 0.499, 0.750], [0.250, 0.498, 0.995], [0.002, 0.255, 0.995], [0.750, 0.001, 0.996], [0.750, 0.499, 0.507], [0.750, 0.001, 0.505], [0.002, 0.003, 0.256], [0.250, 0.002, 0.504], [0.001, 0.745, 0.994], [0.001, 0.001, 0.746], [0.497, 0.497, 0.245], [0.498, 0.003, 0.256], [0.499, 0.001, 0.746], [0.499, 0.745, 0.994], [0.497, 0.249, 0.504], [0.003, 0.497, 0.245], [0.498, 0.255, 0.995], [0.003, 0.249, 0.504], [0.001, 0.499, 0.999], [0.499, 0.001, 0.998], [0.001, 0.001, 0.998], [0.499, 0.499, 0.999], [0.499, 0.000, 0.502], [0.001, 0.000, 0.502], [0.250, 0.743, 0.257], [0.750, 0.257, 0.257], [0.750, 0.743, 0.257], [0.001, 0.498, 0.506], [0.499, 0.498, 0.506], [0.750, 0.739, 0.739], [0.250, 0.739, 0.739], [0.750, 0.261, 0.739], [0.250, 0.261, 0.261], [0.250, 0.261, 0.739]],
  "total_magnetization_mub_per_fu": 3.417,
  "formation_energy_mev_per_atom": -2088.8
}

Entry 5:
{
  "formula": "FeOF",
  "functional": "PBE+U",
  "state": "relaxed",
  "lattice": [[3.104, 0.000, 0.000], [0.000, 9.444, 0.000], [0.000, 0.014, 9.482]],
  "species": ["Fe", "Fe", "Fe", "Fe", "Fe", "Fe", "Fe", "Fe", "F", "F", "F", "F", "F", "F", "F", "F", "O", "O", "O", "O", "O", "O", "O", "O"],
  "frac_coords": [[0.500, 0.772, 0.249], [0.000, 0.488, 0.990], [0.000, 0.989, 0.490], [0.500, 0.775, 0.740], [0.000, 0.481, 0.495], [0.000, 0.980, 0.996], [0.500, 0.240, 0.275], [0.500, 0.268, 0.746], [0.000, 0.651, 0.848], [0.000, 0.347, 0.153], [0.500, 0.100, 0.605], [0.000, 0.154, 0.849], [0.000, 0.652, 0.349], [0.500, 0.103, 0.095], [0.500, 0.599, 0.598], [0.500, 0.594, 0.099], [0.000, 0.850, 0.650], [0.000, 0.149, 0.352], [0.500, 0.900, 0.405], [0.000, 0.349, 0.654], [0.000, 0.847, 0.152], [0.500, 0.904, 0.901], [0.500, 0.402, 0.907], [0.500, 0.406, 0.399]],
  "total_magnetization_mub_per_fu": 5.000,
  "formation_energy_mev_per_atom": -2043.3
}

Entry 6:
{
  "formula": "NaCo2S2O8",
  "functional": "PBE+U",
  "state": "relaxed",
  "lattice": [[-5.663, 1.540, -2.402], [5.404, 5.310, -1.426], [3.512, -6.751, -4.500]],
  "species": ["O", "O", "O", "O", "O", "O", "O", "O", "O", "O", "O", "O", "O", "O", "O", "O", "S", "S", "S", "S", "Co", "Co", "Co", "Co", "Na", "Na"],
  "frac_coords": [[0.127, 0.791, 0.828], [0.788, 0.251, 0.730], [0.259, 0.905, 0.615], [0.518, 0.832, 0.844], [0.818, 0.748, 0.274], [0.482, 0.168, 0.156], [0.212, 0.749, 0.270], [0.873, 0.209, 0.172], [0.741, 0.095, 0.385], [0.369, 0.425, 0.287], [0.631, 0.575, 0.713], [0.981, 0.884, 0.080], [0.733, 0.884, 0.580], [0.182, 0.252, 0.726], [0.019, 0.116, 0.920], [0.267, 0.116, 0.420], [0.763, 0.258, 0.293], [0.944, 0.714, 0.162], [0.056, 0.286, 0.838], [0.237, 0.742, 0.707], [0.198, 0.185, 0.206], [0.802, 0.815, 0.794], [0.500, 0.000, 0.500], [0.000, 0.000, 0.500], [0.554, 0.194, 0.901], [0.446, 0.806, 0.099]],
  "total_magnetization_mub_per_fu": 4.000,
  "formation_energy_mev_per_atom": -1395.5
}

Entry 7:
{
  "formula": "Ho2MgAg2W4O16",
  "functional": "PBE+U",
  "state": "relaxed",
  "lattice": [[2.423, 5.881, -3.667], [2.027, -0.388, 7.359], [3.460, -6.607, -1.670]],
  "species": ["Ho", "Ho", "O", "O", "O", "O", "O", "O", "O", "O", "O", "O", "O", "O", "O", "O", "O", "O", "W", "W", "W", "W", "Ag", "Ag", "Mg"],
  "frac_coords": [[0.000, 0.285, 0.715], [0.000, 0.715, 0.285], [0.240, 0.636, 0.898], [0.670, 0.994, 0.994], [0.094, 0.291, 0.050], [0.342, 0.297, 0.781], [0.658, 0.219, 0.703], [0.342, 0.781, 0.297], [0.156, 0.471, 0.471], [0.330, 0.006, 0.006], [0.906, 0.709, 0.950], [0.094, 0.050, 0.291], [0.240, 0.898, 0.636], [0.844, 0.529, 0.529], [0.658, 0.703, 0.219], [0.906, 0.950, 0.709], [0.760, 0.102, 0.364], [0.760, 0.364, 0.102], [0.500, 0.159, 0.841], [0.023, 0.753, 0.753], [0.500, 0.841, 0.159], [0.977, 0.247, 0.247], [0.466, 0.320, 0.320], [0.534, 0.680, 0.680], [0.000, 0.000, 0.000]],
  "total_magnetization_mub_per_fu": 2.000,
  "formation_energy_mev_per_atom": -2340.8,
  "e_above_lowest_polymorph_mev_per_atom": 22.1
}

Entry 8:
{
  "formula": "Li3Mn10O20",
  "functional": "PBE+U",
  "state": "relaxed",
  "lattice": [[-0.388, 0.171, 5.803], [3.363, -3.454, 3.225], [22.010, 11.803, 15.764]],
  "species": ["O", "O", "O", "O", "O", "O", "O", "O", "O", "O", "O", "O", "O", "O", "O", "O", "O", "O", "O", "O", "O", "O", "O", "O", "O", "O", "O", "O", "O", "O", "O", "O", "O", "O", "O", "O", "O", "O", "O", "O", "Mn", "Mn", "Mn", "Mn", "Mn", "Mn", "Mn", "Mn", "Mn", "Mn", "Mn", "Mn", "Mn", "Mn", "Mn", "Mn", "Mn", "Mn", "Mn", "Mn", "Li", "Li", "Li", "Li", "Li", "Li"],
  "frac_coords": [[0.708, 0.733, 0.156], [0.246, 0.200, 0.066], [0.278, 0.242, 0.252], [0.285, 0.284, 0.929], [0.280, 0.782, 0.931], [0.701, 0.741, 0.064], [0.694, 0.757, 0.552], [0.745, 0.748, 0.742], [0.708, 0.278, 0.156], [0.772, 0.776, 0.933], [0.281, 0.249, 0.344], [0.703, 0.289, 0.351], [0.279, 0.228, 0.153], [0.752, 0.750, 0.849], [0.772, 0.286, 0.933], [0.287, 0.719, 0.155], [0.284, 0.737, 0.348], [0.721, 0.283, 0.843], [0.283, 0.718, 0.843], [0.263, 0.265, 0.652], [0.703, 0.750, 0.459], [0.246, 0.724, 0.066], [0.702, 0.749, 0.260], [0.704, 0.238, 0.064], [0.263, 0.714, 0.652], [0.703, 0.753, 0.351], [0.742, 0.739, 0.656], [0.723, 0.251, 0.255], [0.286, 0.726, 0.448], [0.273, 0.273, 0.736], [0.278, 0.718, 0.252], [0.694, 0.289, 0.552], [0.730, 0.261, 0.450], [0.283, 0.282, 0.843], [0.284, 0.741, 0.547], [0.745, 0.299, 0.742], [0.300, 0.746, 0.742], [0.298, 0.258, 0.537], [0.286, 0.248, 0.448], [0.712, 0.271, 0.649], [0.161, 0.116, 0.422], [0.009, 0.504, 0.696], [0.022, 0.515, 0.889], [0.506, 0.985, 0.302], [0.391, 0.445, 0.044], [0.158, 0.102, 0.227], [0.512, 0.507, 0.595], [0.502, 0.997, 0.500], [0.504, 0.506, 0.696], [0.502, 0.501, 0.500], [0.509, 0.502, 0.397], [0.517, 0.515, 0.888], [0.517, 0.026, 0.888], [0.511, 0.511, 0.793], [0.506, 0.498, 0.302], [0.508, 0.487, 0.108], [0.508, 0.967, 0.108], [0.546, 0.568, 0.964], [0.504, 0.009, 0.696], [0.511, 0.492, 0.201], [0.857, 0.872, 0.980], [0.863, 0.884, 0.574], [0.883, 0.884, 0.770], [0.854, 0.875, 0.379], [0.142, 0.136, 0.617], [0.872, 0.874, 0.176]],
  "total_magnetization_mub_per_fu": 32.000,
  "formation_energy_mev_per_atom": -1698.8,
  "e_above_lowest_polymorph_mev_per_atom": 204.3
}

Entry 9:
{
  "formula": "MgFe4O8",
  "functional": "PBE+U",
  "state": "relaxed",
  "lattice": [[-1.234, 5.401, 2.397], [-5.784, 1.702, -0.328], [-3.205, 0.295, 4.951]],
  "species": ["O", "O", "O", "O", "O", "O", "O", "O", "Fe", "Fe", "Fe", "Fe", "Mg"],
  "frac_coords": [[0.250, 0.250, 0.523], [0.460, 0.823, 0.858], [0.824, 0.461, 0.858], [0.431, 0.801, 0.384], [0.250, 0.250, 0.978], [0.801, 0.431, 0.384], [0.938, 0.939, 0.303], [0.938, 0.938, 0.821], [0.090, 0.089, 0.911], [0.112, 0.112, 0.389], [0.708, 0.708, 0.043], [0.708, 0.708, 0.541], [0.419, 0.420, 0.581]],
  "total_magnetization_mub_per_fu": 18.000,
  "formation_energy_mev_per_atom": -1554.5,
  "e_above_lowest_polymorph_mev_per_atom": 84.9
}